# CoO2

A relaxed CoO2 crystal (PBE+U, the Materials Project database).

**Total energy**: -203.07 eV per cell

a = 5.6531 Å, b = 5.6531 Å, c = 13.9938 Å
α = 90.00°, β = 90.00°, γ = 120.00°
Positions (direct):
O  0.4794  0.5206  0.2458
O  0.3616  0.1808  0.5655
O  0.4794  0.9587  0.2458
O  0.5031  0.4969  0.7619
O  0.1487  0.8513  0.9010
O  0.0000  0.0000  0.2358
O  0.8384  0.1616  0.0983
O  0.6667  0.3333  0.9070
O  0.3333  0.6667  0.5749
O  0.5031  0.0062  0.7619
O  0.0413  0.5206  0.2458
O  0.9938  0.4969  0.7619
O  0.1866  0.3733  0.4216
O  0.3232  0.1616  0.0983
O  0.3333  0.6667  0.0996
O  0.8192  0.1808  0.5655
O  0.0000  0.0000  0.7612
O  0.1866  0.8134  0.4216
O  0.8192  0.6384  0.5655
O  0.6667  0.3333  0.4291
O  0.6267  0.8134  0.4216
O  0.8384  0.6768  0.0983
O  0.1487  0.2974  0.9010
O  0.7026  0.8513  0.9010
Co  0.3333  0.6667  0.3367
Co  0.1677  0.3354  0.1694
Co  0.3333  0.6667  0.7115
Co  0.5057  0.4943  0.4996
Co  0.8390  0.1610  0.8333
Co  0.5057  0.0113  0.4996
Co  0.8390  0.6779  0.8333
Co  0.6646  0.8323  0.1694
Co  0.9887  0.4943  0.4996
Co  0.1677  0.8323  0.1694
Co  0.6667  0.3333  0.0431
Co  0.3221  0.1610  0.8333